DFT (PBE-GGA) results for an optimized crystal structure of SrEuBiSbO6.

Output
ΔE_f   -2.348 eV/atom
Offset from the most stable computed form   126 meV/atom

```
data_SrEuBiSbO6
_symmetry_space_group_name_H-M 'F -4 3 m'
_symmetry_Int_Tables_number 216
_symmetry_space_group_name_Hall 'F -4 2 3'
_cell_length_a 8.5497
_cell_length_b 8.5497
_cell_length_c 8.5497
_cell_angle_alpha 90.00
_cell_angle_beta 90.00
_cell_angle_gamma 90.00
loop_
_atom_site_label
_atom_site_fract_x
_atom_site_fract_y
_atom_site_fract_z
_atom_site_occupancy
Sr1 0.0000 0.0000 0.0000 1
Eu1 0.0000 0.0000 0.5000 1
Bi1 0.2500 0.2500 0.2500 1
Sb1 0.2500 0.2500 0.7500 1
O1 0.0164 0.2500 0.7500 1
```